No. 1
# KHfNbBiO6 PBE optimized geometry
# **E**: -7.791 eV per atom
# **Crystal system**: cubic
# **Energy relative to the elements**: -263 kJ per mole of atoms
# **Total magnetic moment**: 0.00 μB/f.u.
# **Space group**: F-43m
data_KHfNbBiO6
_space_group_name_H-M_alt 'P 1'
_space_group_IT_number 1
_cell_length_a 5.810
_cell_length_b 5.810
_cell_length_c 5.810
_cell_angle_alpha 60.00
_cell_angle_beta 60.00
_cell_angle_gamma 60.00
loop_
_space_group_symop_operation_xyz
'x,y,z'
loop_
_atom_site_label
_atom_site_fract_x
_atom_site_fract_y
_atom_site_fract_z
_atom_site_occupancy
K1 0.750 0.750 0.750 1
Hf1 0.000 0.000 0.000 1
Nb1 0.500 0.500 0.500 1
Bi1 0.250 0.250 0.250 1
O1 0.746 0.254 0.254 1
O2 0.254 0.746 0.746 1
O3 0.746 0.254 0.746 1
O4 0.254 0.746 0.254 1
O5 0.746 0.746 0.254 1
O6 0.254 0.254 0.746 1



No. 2
# Cs2GaAgBr6 PBE optimized geometry
# **E**: -2.856 eV per atom
# **Crystal system**: cubic
# **Energy relative to the elements**: -138 kJ per mole of atoms
# **Total magnetic moment**: 0.00 μB/f.u.
# **Space group**: Fm-3m
data_Cs2GaAgBr6
_space_group_name_H-M_alt 'P 1'
_space_group_IT_number 1
_cell_length_a 7.769
_cell_length_b 7.769
_cell_length_c 7.769
_cell_angle_alpha 60.00
_cell_angle_beta 60.00
_cell_angle_gamma 60.00
loop_
_space_group_symop_operation_xyz
'x,y,z'
loop_
_atom_site_label
_atom_site_fract_x
_atom_site_fract_y
_atom_site_fract_z
_atom_site_occupancy
Cs1 0.750 0.750 0.750 1
Cs2 0.250 0.250 0.250 1
Ga1 0.000 0.000 0.000 1
Ag1 0.500 0.500 0.500 1
Br1 0.763 0.237 0.237 1
Br2 0.237 0.237 0.763 1
Br3 0.237 0.763 0.763 1
Br4 0.237 0.763 0.237 1
Br5 0.763 0.237 0.763 1
Br6 0.763 0.763 0.237 1



No. 3
# K2LiCeBr6 PBE optimized geometry
# **E**: -3.723 eV per atom
# **Crystal system**: cubic
# **Energy relative to the elements**: -198 kJ per mole of atoms
# **Total magnetic moment**: 1.00 μB/f.u.
# **Space group**: Fm-3m
data_K2LiCeBr6
_space_group_name_H-M_alt 'P 1'
_space_group_IT_number 1
_cell_length_a 7.935
_cell_length_b 7.935
_cell_length_c 7.935
_cell_angle_alpha 60.00
_cell_angle_beta 60.00
_cell_angle_gamma 60.00
loop_
_space_group_symop_operation_xyz
'x,y,z'
loop_
_atom_site_label
_atom_site_fract_x
_atom_site_fract_y
_atom_site_fract_z
_atom_site_occupancy
K1 0.250 0.250 0.250 1
K2 0.750 0.750 0.750 1
Li1 0.500 0.500 0.500 1
Ce1 0.000 0.000 0.000 1
Br1 0.257 0.257 0.743 1
Br2 0.257 0.743 0.743 1
Br3 0.743 0.743 0.257 1
Br4 0.257 0.743 0.257 1
Br5 0.743 0.257 0.743 1
Br6 0.743 0.257 0.257 1



No. 4
# LaYS3O12 PBE optimized geometry
# **E**: -7.059 eV per atom
# **Crystal system**: trigonal
# **Energy relative to the elements**: -256 kJ per mole of atoms
# **Total magnetic moment**: 0.00 μB/f.u.
# **Space group**: P321
data_LaYS3O12
_space_group_name_H-M_alt 'P 1'
_space_group_IT_number 1
_cell_length_a 9.476
_cell_length_b 9.476
_cell_length_c 24.320
_cell_angle_alpha 90.00
_cell_angle_beta 90.00
_cell_angle_gamma 120.00
loop_
_space_group_symop_operation_xyz
'x,y,z'
loop_
_atom_site_label
_atom_site_fract_x
_atom_site_fract_y
_atom_site_fract_z
_atom_site_occupancy
La1 0.000 0.000 0.853 1
La2 0.667 0.333 0.980 1
La3 0.333 0.667 0.025 1
La4 0.333 0.667 0.522 1
La5 0.333 0.667 0.311 1
La6 0.333 0.667 0.809 1
Y1 0.000 0.000 0.353 1
Y2 0.000 0.000 0.644 1
Y3 0.000 0.000 0.146 1
Y4 0.667 0.333 0.687 1
Y5 0.667 0.333 0.189 1
Y6 0.667 0.333 0.480 1
S1 0.288 0.006 0.249 1
S2 0.719 0.712 0.249 1
S3 0.994 0.281 0.249 1
S4 0.293 0.286 0.746 1
S5 0.993 0.707 0.746 1
S6 0.714 0.007 0.746 1
S7 0.948 0.327 0.584 1
S8 0.379 0.052 0.584 1
S9 0.673 0.621 0.584 1
S10 0.953 0.627 0.087 1
S11 0.673 0.047 0.087 1
S12 0.373 0.327 0.087 1
S13 0.624 0.667 0.917 1
S14 0.042 0.376 0.917 1
S15 0.333 0.958 0.917 1
S16 0.632 0.966 0.417 1
S17 0.333 0.368 0.417 1
S18 0.034 0.667 0.417 1
O1 0.210 0.029 0.299 1
O2 0.819 0.790 0.299 1
O3 0.971 0.181 0.299 1
O4 0.222 0.190 0.797 1
O5 0.968 0.778 0.797 1
O6 0.810 0.032 0.797 1
O7 0.798 0.984 0.699 1
O8 0.185 0.202 0.699 1
O9 0.016 0.815 0.699 1
O10 0.798 0.816 0.200 1
O11 0.017 0.202 0.200 1
O12 0.184 0.983 0.200 1
O13 0.869 0.351 0.633 1
O14 0.482 0.131 0.633 1
O15 0.649 0.518 0.633 1
O16 0.868 0.519 0.134 1
O17 0.650 0.132 0.134 1
O18 0.481 0.350 0.134 1
O19 0.444 0.301 0.036 1
O20 0.857 0.556 0.036 1
O21 0.699 0.143 0.036 1
O22 0.457 0.152 0.535 1
O23 0.695 0.543 0.535 1
O24 0.848 0.305 0.535 1
O25 0.545 0.687 0.966 1
O26 0.142 0.455 0.966 1
O27 0.313 0.858 0.966 1
O28 0.556 0.860 0.465 1
O29 0.304 0.444 0.465 1
O30 0.140 0.696 0.465 1
O31 0.110 0.637 0.368 1
O32 0.527 0.890 0.368 1
O33 0.363 0.473 0.368 1
O34 0.121 0.476 0.867 1
O35 0.354 0.879 0.867 1
O36 0.524 0.646 0.867 1
O37 0.016 0.811 0.406 1
O38 0.796 0.984 0.406 1
O39 0.189 0.204 0.406 1
O40 0.024 0.212 0.910 1
O41 0.188 0.976 0.910 1
O42 0.788 0.812 0.910 1
O43 0.966 0.181 0.593 1
O44 0.215 0.034 0.593 1
O45 0.819 0.785 0.593 1
O46 0.973 0.790 0.096 1
O47 0.817 0.027 0.096 1
O48 0.210 0.183 0.096 1
O49 0.694 0.150 0.737 1
O50 0.457 0.306 0.737 1
O51 0.850 0.543 0.737 1
O52 0.701 0.549 0.240 1
O53 0.848 0.299 0.240 1
O54 0.451 0.152 0.240 1
O55 0.642 0.521 0.923 1
O56 0.879 0.358 0.923 1
O57 0.479 0.121 0.923 1
O58 0.651 0.129 0.427 1
O59 0.478 0.349 0.427 1
O60 0.871 0.522 0.427 1
O61 0.357 0.473 0.081 1
O62 0.116 0.643 0.081 1
O63 0.527 0.884 0.081 1
O64 0.360 0.888 0.577 1
O65 0.528 0.640 0.577 1
O66 0.112 0.472 0.577 1
O67 0.306 0.861 0.256 1
O68 0.555 0.694 0.256 1
O69 0.139 0.445 0.256 1
O70 0.310 0.450 0.753 1
O71 0.140 0.690 0.753 1
O72 0.550 0.860 0.753 1



No. 5
# Ti5S8 PBE optimized geometry
# **Energy relative to the lowest polymorph listed for this composition**: 32 meV/atom
# **E**: -6.938 eV per atom
# **Crystal system**: monoclinic
# **Energy relative to the elements**: -161 kJ per mole of atoms
# **Total magnetic moment**: 0.01 μB/f.u.
# **Space group**: Pm
data_Ti5S8
_space_group_name_H-M_alt 'P 1'
_space_group_IT_number 1
_cell_length_a 3.419
_cell_length_b 5.958
_cell_length_c 35.364
_cell_angle_alpha 89.61
_cell_angle_beta 90.00
_cell_angle_gamma 90.00
loop_
_space_group_symop_operation_xyz
'x,y,z'
loop_
_atom_site_label
_atom_site_fract_x
_atom_site_fract_y
_atom_site_fract_z
_atom_site_occupancy
Ti1 0.500 0.662 0.666 1
Ti2 0.000 0.184 0.666 1
Ti3 0.000 0.849 0.167 1
Ti4 0.500 0.327 0.167 1
Ti5 0.500 0.995 0.501 1
Ti6 0.000 0.515 0.500 1
Ti7 0.500 0.992 0.000 1
Ti8 0.000 0.493 0.002 1
Ti9 0.500 0.672 0.755 1
Ti10 0.500 0.337 0.079 1
Ti11 0.500 0.004 0.412 1
Ti12 0.500 0.658 0.333 1
Ti13 0.000 0.160 0.335 1
Ti14 0.000 0.826 0.831 1
Ti15 0.500 0.324 0.834 1
S1 0.500 0.662 0.872 1
S2 0.000 0.159 0.873 1
S3 0.000 0.818 0.376 1
S4 0.500 0.340 0.376 1
S5 0.500 0.673 0.043 1
S6 0.000 0.152 0.043 1
S7 0.000 0.834 0.541 1
S8 0.500 0.334 0.538 1
S9 0.500 0.675 0.458 1
S10 0.000 0.170 0.457 1
S11 0.000 0.830 0.960 1
S12 0.500 0.333 0.962 1
S13 0.500 0.668 0.205 1
S14 0.000 0.167 0.208 1
S15 0.000 0.835 0.710 1
S16 0.500 0.341 0.709 1
S17 0.500 0.008 0.124 1
S18 0.000 0.503 0.124 1
S19 0.500 0.006 0.629 1
S20 0.000 0.504 0.625 1
S21 0.500 0.000 0.295 1
S22 0.000 0.497 0.293 1
S23 0.500 0.007 0.790 1
S24 0.000 0.486 0.791 1



No. 6
# CdH12C4Br3N PBE optimized geometry
# **E**: -4.686 eV per atom
# **Crystal system**: hexagonal
# **Energy relative to the elements**: -32 kJ per mole of atoms
# **Total magnetic moment**: 0.01 μB/f.u.
# **Space group**: P6_1
data_CdH12C4Br3N
_space_group_name_H-M_alt 'P 1'
_space_group_IT_number 1
_cell_length_a 9.550
_cell_length_b 9.550
_cell_length_c 21.565
_cell_angle_alpha 90.00
_cell_angle_beta 90.00
_cell_angle_gamma 120.00
loop_
_space_group_symop_operation_xyz
'x,y,z'
loop_
_atom_site_label
_atom_site_fract_x
_atom_site_fract_y
_atom_site_fract_z
_atom_site_occupancy
Cd1 0.978 0.982 0.500 1
Cd2 0.004 0.022 0.167 1
Cd3 0.996 0.978 0.667 1
Cd4 0.018 0.996 0.833 1
Cd5 0.982 0.004 0.333 1
Cd6 0.022 0.018 0.000 1
H1 0.267 0.784 0.693 1
H2 0.329 0.664 0.319 1
H3 0.665 0.329 0.485 1
H4 0.485 0.869 0.801 1
H5 0.370 0.520 0.356 1
H6 0.693 0.333 0.680 1
H7 0.733 0.216 0.193 1
H8 0.547 0.088 0.918 1
H9 0.731 0.210 0.305 1
H10 0.470 0.923 0.124 1
H11 0.458 0.547 0.085 1
H12 0.664 0.335 0.152 1
H13 0.336 0.665 0.652 1
H14 0.427 0.261 0.546 1
H15 0.874 0.591 0.920 1
H16 0.333 0.640 0.514 1
H17 0.912 0.458 0.251 1
H18 0.850 0.370 0.522 1
H19 0.307 0.667 0.180 1
H20 0.335 0.671 0.985 1
H21 0.282 0.874 0.087 1
H22 0.790 0.520 0.638 1
H23 0.640 0.307 0.347 1
H24 0.537 0.458 0.208 1
H25 0.542 0.453 0.585 1
H26 0.667 0.360 0.014 1
H27 0.453 0.912 0.418 1
H28 0.458 0.922 0.041 1
H29 0.439 0.268 0.629 1
H30 0.166 0.427 0.713 1
H31 0.869 0.384 0.634 1
H32 0.483 0.267 0.859 1
H33 0.360 0.693 0.847 1
H34 0.530 0.077 0.624 1
H35 0.216 0.483 0.026 1
H36 0.210 0.480 0.138 1
H37 0.561 0.732 0.129 1
H38 0.409 0.282 0.253 1
H39 0.480 0.269 0.971 1
H40 0.452 0.530 0.791 1
H41 0.384 0.515 0.468 1
H42 0.573 0.739 0.046 1
H43 0.542 0.078 0.541 1
H44 0.732 0.171 0.962 1
H45 0.739 0.166 0.879 1
H46 0.269 0.790 0.805 1
H47 0.517 0.733 0.359 1
H48 0.515 0.131 0.301 1
H49 0.261 0.834 0.379 1
H50 0.671 0.336 0.819 1
H51 0.171 0.439 0.796 1
H52 0.520 0.150 0.189 1
H53 0.150 0.630 0.022 1
H54 0.591 0.718 0.753 1
H55 0.520 0.731 0.471 1
H56 0.784 0.517 0.526 1
H57 0.077 0.548 0.457 1
H58 0.480 0.850 0.689 1
H59 0.630 0.480 0.856 1
H60 0.463 0.542 0.708 1
H61 0.829 0.561 0.296 1
H62 0.088 0.542 0.751 1
H63 0.923 0.452 0.957 1
H64 0.078 0.537 0.374 1
H65 0.922 0.463 0.874 1
H66 0.718 0.126 0.587 1
H67 0.126 0.409 0.420 1
H68 0.268 0.829 0.462 1
H69 0.548 0.470 0.291 1
H70 0.131 0.616 0.134 1
H71 0.834 0.573 0.213 1
H72 0.616 0.485 0.968 1
C1 0.255 0.612 0.025 1
C2 0.241 0.606 0.138 1
C3 0.676 0.180 0.919 1
C4 0.324 0.820 0.419 1
C5 0.865 0.473 0.917 1
C6 0.366 0.759 0.805 1
C7 0.820 0.496 0.253 1
C8 0.135 0.527 0.417 1
C9 0.643 0.255 0.191 1
C10 0.606 0.366 0.971 1
C11 0.180 0.504 0.753 1
C12 0.504 0.324 0.586 1
C13 0.608 0.135 0.584 1
C14 0.394 0.634 0.471 1
C15 0.357 0.745 0.691 1
C16 0.745 0.388 0.525 1
C17 0.527 0.392 0.250 1
C18 0.473 0.608 0.750 1
C19 0.759 0.394 0.638 1
C20 0.392 0.865 0.084 1
C21 0.634 0.241 0.305 1
C22 0.612 0.357 0.858 1
C23 0.388 0.643 0.358 1
C24 0.496 0.676 0.086 1
Br1 0.757 0.837 0.919 1
Br2 0.082 0.275 0.255 1
Br3 0.860 0.130 0.077 1
Br4 0.725 0.807 0.589 1
Br5 0.730 0.860 0.243 1
Br6 0.918 0.725 0.755 1
Br7 0.837 0.079 0.752 1
Br8 0.079 0.243 0.586 1
Br9 0.243 0.163 0.419 1
Br10 0.870 0.730 0.410 1
Br11 0.163 0.921 0.252 1
Br12 0.270 0.140 0.743 1
Br13 0.921 0.757 0.086 1
Br14 0.130 0.270 0.910 1
Br15 0.140 0.870 0.577 1
Br16 0.275 0.193 0.089 1
Br17 0.193 0.918 0.922 1
Br18 0.807 0.082 0.422 1
N1 0.656 0.346 0.250 1
N2 0.346 0.690 0.083 1
N3 0.654 0.310 0.583 1
N4 0.690 0.344 0.916 1
N5 0.310 0.656 0.416 1
N6 0.344 0.654 0.750 1



Please write out number 3 again, unchanged.
# K2LiCeBr6 PBE optimized geometry
# **E**: -3.723 eV per atom
# **Crystal system**: cubic
# **Energy relative to the elements**: -198 kJ per mole of atoms
# **Total magnetic moment**: 1.00 μB/f.u.
# **Space group**: Fm-3m
data_K2LiCeBr6
_space_group_name_H-M_alt 'P 1'
_space_group_IT_number 1
_cell_length_a 7.935
_cell_length_b 7.935
_cell_length_c 7.935
_cell_angle_alpha 60.00
_cell_angle_beta 60.00
_cell_angle_gamma 60.00
loop_
_space_group_symop_operation_xyz
'x,y,z'
loop_
_atom_site_label
_atom_site_fract_x
_atom_site_fract_y
_atom_site_fract_z
_atom_site_occupancy
K1 0.250 0.250 0.250 1
K2 0.750 0.750 0.750 1
Li1 0.500 0.500 0.500 1
Ce1 0.000 0.000 0.000 1
Br1 0.257 0.257 0.743 1
Br2 0.257 0.743 0.743 1
Br3 0.743 0.743 0.257 1
Br4 0.257 0.743 0.257 1
Br5 0.743 0.257 0.743 1
Br6 0.743 0.257 0.257 1



Which value of total magnetic moment does entry 6 give?
0.01 μB/f.u.